[1]
# LiHO, optimized geometry, DFT r2SCAN
data_LiHO
_chemical_formula_sum 'Li2 H2 O2'
_space_group_name_H-M_alt 'P 1'
_space_group_IT_number 1
_cell_length_a 4.2795
_cell_length_b 3.4874
_cell_length_c 3.4874
_cell_angle_alpha 90.09
_cell_angle_beta 90.00
_cell_angle_gamma 90.00
loop_
_space_group_symop_operation_xyz
'x,y,z'
loop_
_atom_site_label
_atom_site_fract_x
_atom_site_fract_y
_atom_site_fract_z
Li1 0.0000 0.0000 0.0000
Li2 0.0000 0.5000 0.5000
H1 0.4236 0.4932 0.9932
H2 0.5764 0.9932 0.4932
O1 0.1986 0.4987 0.9987
O2 0.8014 0.9987 0.4987
# Total DFT energy (no corrections) in eV per atom: -5.60
# Spin magnetization in μB per cell: 0.00
# Calculated volume in Å³/atom: 8.674
# Symmetry: No. 39

=====

[2]
# LiUPH8O10, optimized geometry, DFT r2SCAN
data_LiUPH8O10
_chemical_formula_sum 'Li2 U2 P2 H16 O20'
_space_group_name_H-M_alt 'P 1'
_space_group_IT_number 1
_cell_length_a 6.8738
_cell_length_b 6.8738
_cell_length_c 9.0436
_cell_angle_alpha 90.00
_cell_angle_beta 90.00
_cell_angle_gamma 90.00
loop_
_space_group_symop_operation_xyz
'x,y,z'
loop_
_atom_site_label
_atom_site_fract_x
_atom_site_fract_y
_atom_site_fract_z
Li1 0.2500 0.7500 0.0000
Li2 0.7500 0.2500 0.0000
U1 0.2500 0.2500 0.3985
U2 0.7500 0.7500 0.6015
P1 0.2500 0.7500 0.5000
P2 0.7500 0.2500 0.5000
H1 0.0771 0.6669 0.2302
H2 0.0812 0.3938 0.8816
H3 0.1062 0.0812 0.8816
H4 0.1669 0.9229 0.7698
H5 0.3331 0.5771 0.7698
H6 0.3938 0.4188 0.8816
H7 0.4188 0.1062 0.8816
H8 0.4229 0.8331 0.2302
H9 0.5771 0.1669 0.7698
H10 0.5812 0.8938 0.1184
H11 0.6062 0.5812 0.1184
H12 0.6669 0.4229 0.2302
H13 0.8331 0.0771 0.2302
H14 0.8938 0.9188 0.1184
H15 0.9188 0.6062 0.1184
H16 0.9229 0.3331 0.7698
O1 0.0304 0.6948 0.1300
O2 0.0796 0.8052 0.6014
O3 0.1948 0.5796 0.3986
O4 0.1948 0.9696 0.8700
O5 0.2500 0.2500 0.1995
O6 0.2500 0.2500 0.5973
O7 0.3052 0.5304 0.8700
O8 0.3052 0.9204 0.3986
O9 0.4204 0.6948 0.6014
O10 0.4696 0.8052 0.1300
O11 0.5304 0.1948 0.8700
O12 0.5796 0.3052 0.3986
O13 0.6948 0.0796 0.6014
O14 0.6948 0.4696 0.1300
O15 0.7500 0.7500 0.4027
O16 0.7500 0.7500 0.8005
O17 0.8052 0.0304 0.1300
O18 0.8052 0.4204 0.6014
O19 0.9204 0.1948 0.3986
O20 0.9696 0.3052 0.8700
# Total DFT energy (no corrections) in eV per atom: -10.36
# Spin magnetization in μB per cell: 0.00
# Calculated volume in Å³/atom: 10.174
# Symmetry: No. 85

=====

[3]
# Li2SnH14Se3O7, optimized geometry, DFT r2SCAN
data_Li2SnH14Se3O7
_chemical_formula_sum 'Li4 Sn2 H28 Se6 O14'
_space_group_name_H-M_alt 'P 1'
_space_group_IT_number 1
_cell_length_a 7.2676
_cell_length_b 9.4354
_cell_length_c 10.4677
_cell_angle_alpha 77.81
_cell_angle_beta 71.91
_cell_angle_gamma 74.66
loop_
_space_group_symop_operation_xyz
'x,y,z'
loop_
_atom_site_label
_atom_site_fract_x
_atom_site_fract_y
_atom_site_fract_z
Li1 0.0608 0.2604 0.1299
Li2 0.3082 0.9185 0.7809
Li3 0.6918 0.0815 0.2191
Li4 0.9392 0.7396 0.8701
Sn1 0.4032 0.6234 0.3768
Sn2 0.5968 0.3766 0.6232
H1 0.0011 0.4119 0.8993
H2 0.0175 0.4470 0.2892
H3 0.0468 0.1392 0.7183
H4 0.1022 0.1817 0.8375
H5 0.2015 0.7760 0.6567
H6 0.2179 0.3525 0.9049
H7 0.2276 0.0107 0.2262
H8 0.2313 0.4475 0.1916
H9 0.2967 0.6640 0.7682
H10 0.3070 0.9457 0.0220
H11 0.3680 0.0270 0.4015
H12 0.3876 0.0908 0.1174
H13 0.3938 0.1814 0.4168
H14 0.3947 0.7773 0.0079
H15 0.6053 0.2227 0.9921
H16 0.6062 0.8186 0.5832
H17 0.6124 0.9092 0.8826
H18 0.6320 0.9730 0.5985
H19 0.6930 0.0543 0.9780
H20 0.7033 0.3360 0.2318
H21 0.7687 0.5525 0.8084
H22 0.7724 0.9893 0.7738
H23 0.7821 0.6475 0.0951
H24 0.7985 0.2240 0.3433
H25 0.8978 0.8183 0.1625
H26 0.9532 0.8608 0.2817
H27 0.9825 0.5530 0.7108
H28 0.9989 0.5881 0.1007
Se1 0.1567 0.8528 0.4356
Se2 0.2789 0.4018 0.5465
Se3 0.4962 0.4470 0.8555
Se4 0.5038 0.5530 0.1445
Se5 0.7211 0.5982 0.4535
Se6 0.8433 0.1472 0.5644
O1 0.0875 0.3244 0.9363
O2 0.1029 0.4244 0.2001
O3 0.1206 0.1010 0.7863
O4 0.2012 0.7579 0.7532
O5 0.2530 0.0729 0.1368
O6 0.3714 0.8761 0.9546
O7 0.4488 0.1015 0.3612
O8 0.5512 0.8985 0.6388
O9 0.6286 0.1239 0.0454
O10 0.7470 0.9271 0.8632
O11 0.7988 0.2421 0.2468
O12 0.8794 0.8990 0.2137
O13 0.8971 0.5756 0.7999
O14 0.9125 0.6756 0.0637
# Total DFT energy (no corrections) in eV per atom: -7.08
# Spin magnetization in μB per cell: 0.00
# Calculated volume in Å³/atom: 12.064
# Symmetry: No. 2

=====

[4]
# Li4H6Os, optimized geometry, DFT r2SCAN
data_Li4H6Os
_chemical_formula_sum 'Li8 H12 Os2'
_space_group_name_H-M_alt 'P 1'
_space_group_IT_number 1
_cell_length_a 5.8033
_cell_length_b 5.8033
_cell_length_c 5.8033
_cell_angle_alpha 89.78
_cell_angle_beta 89.78
_cell_angle_gamma 89.78
loop_
_space_group_symop_operation_xyz
'x,y,z'
loop_
_atom_site_label
_atom_site_fract_x
_atom_site_fract_y
_atom_site_fract_z
Li1 0.1582 0.7500 0.3418
Li2 0.2500 0.2500 0.2500
Li3 0.2500 0.6582 0.8418
Li4 0.3418 0.1582 0.7500
Li5 0.6582 0.8418 0.2500
Li6 0.7500 0.3418 0.1582
Li7 0.7500 0.7500 0.7500
Li8 0.8418 0.2500 0.6582
H1 0.0430 0.9505 0.7112
H2 0.0495 0.2888 0.9570
H3 0.2112 0.4505 0.5430
H4 0.2888 0.9570 0.0495
H5 0.4505 0.5430 0.2112
H6 0.4570 0.7888 0.5495
H7 0.5430 0.2112 0.4505
H8 0.5495 0.4570 0.7888
H9 0.7112 0.0430 0.9505
H10 0.7888 0.5495 0.4570
H11 0.9505 0.7112 0.0430
H12 0.9570 0.0495 0.2888
Os1 0.0000 0.0000 0.0000
Os2 0.5000 0.5000 0.5000
# Total DFT energy (no corrections) in eV per atom: -8.06
# Spin magnetization in μB per cell: 0.00
# Calculated volume in Å³/atom: 8.884
# Symmetry: No. 167

=====

[5]
# Li2H2Pd, optimized geometry, DFT r2SCAN
data_Li2H2Pd
_chemical_formula_sum 'Li2 H2 Pd1'
_space_group_name_H-M_alt 'P 1'
_space_group_IT_number 1
_cell_length_a 5.5625
_cell_length_b 5.5625
_cell_length_c 5.5625
_cell_angle_alpha 147.87
_cell_angle_beta 147.87
_cell_angle_gamma 46.08
loop_
_space_group_symop_operation_xyz
'x,y,z'
loop_
_atom_site_label
_atom_site_fract_x
_atom_site_fract_y
_atom_site_fract_z
Li1 0.1452 0.1452 0.0000
Li2 0.8548 0.8548 0.0000
H1 0.3367 0.3367 0.0000
H2 0.6633 0.6633 0.0000
Pd1 0.5000 0.5000 0.0000
# Total DFT energy (no corrections) in eV per atom: -7.41
# Spin magnetization in μB per cell: 0.00
# Calculated volume in Å³/atom: 9.705
# Symmetry: No. 139

=====

[6]
# Li4H4Rh, optimized geometry, DFT r2SCAN
data_Li4H4Rh
_chemical_formula_sum 'Li4 H4 Rh1'
_space_group_name_H-M_alt 'P 1'
_space_group_IT_number 1
_cell_length_a 4.8499
_cell_length_b 4.8499
_cell_length_c 4.8499
_cell_angle_alpha 100.24
_cell_angle_beta 100.24
_cell_angle_gamma 130.14
loop_
_space_group_symop_operation_xyz
'x,y,z'
loop_
_atom_site_label
_atom_site_fract_x
_atom_site_fract_y
_atom_site_fract_z
Li1 0.1142 0.2795 0.3938
Li2 0.2795 0.8858 0.1653
Li3 0.7205 0.1142 0.8347
Li4 0.8858 0.7205 0.6062
H1 0.2349 0.5663 0.8012
H2 0.4337 0.2349 0.6686
H3 0.5663 0.7651 0.3314
H4 0.7651 0.4337 0.1988
Rh1 0.5000 0.5000 0.0000
# Total DFT energy (no corrections) in eV per atom: -5.75
# Spin magnetization in μB per cell: 0.00
# Calculated volume in Å³/atom: 8.787
# Symmetry: No. 87

=====

[7]
# Li3H4Rh, optimized geometry, DFT r2SCAN
data_Li3H4Rh
_chemical_formula_sum 'Li6 H8 Rh2'
_space_group_name_H-M_alt 'P 1'
_space_group_IT_number 1
_cell_length_a 4.8128
_cell_length_b 4.8128
_cell_length_c 8.7666
_cell_angle_alpha 90.00
_cell_angle_beta 90.00
_cell_angle_gamma 134.35
loop_
_space_group_symop_operation_xyz
'x,y,z'
loop_
_atom_site_label
_atom_site_fract_x
_atom_site_fract_y
_atom_site_fract_z
Li1 0.0121 0.9879 0.7500
Li2 0.3380 0.6620 0.5704
Li3 0.3380 0.6620 0.9296
Li4 0.6620 0.3380 0.0704
Li5 0.6620 0.3380 0.4296
Li6 0.9879 0.0121 0.2500
H1 0.1670 0.8330 0.1130
H2 0.1670 0.8330 0.3870
H3 0.4352 0.5648 0.1228
H4 0.4352 0.5648 0.3772
H5 0.5648 0.4352 0.6228
H6 0.5648 0.4352 0.8772
H7 0.8330 0.1670 0.6130
H8 0.8330 0.1670 0.8870
Rh1 0.2968 0.7032 0.2500
Rh2 0.7032 0.2968 0.7500
# Total DFT energy (no corrections) in eV per atom: -6.13
# Spin magnetization in μB per cell: 0.00
# Calculated volume in Å³/atom: 9.076
# Symmetry: No. 63

=====

[8]
# Li3H6Rh, optimized geometry, DFT r2SCAN
data_Li3H6Rh
_chemical_formula_sum 'Li12 H24 Rh4'
_space_group_name_H-M_alt 'P 1'
_space_group_IT_number 1
_cell_length_a 8.4066
_cell_length_b 4.7082
_cell_length_c 8.4540
_cell_angle_alpha 90.00
_cell_angle_beta 90.00
_cell_angle_gamma 90.00
loop_
_space_group_symop_operation_xyz
'x,y,z'
loop_
_atom_site_label
_atom_site_fract_x
_atom_site_fract_y
_atom_site_fract_z
Li1 0.0442 0.2500 0.1290
Li2 0.1029 0.7500 0.5200
Li3 0.2203 0.2500 0.7460
Li4 0.2797 0.7500 0.2460
Li5 0.3971 0.2500 0.0200
Li6 0.4558 0.7500 0.6290
Li7 0.5442 0.2500 0.3710
Li8 0.6029 0.7500 0.9800
Li9 0.7203 0.2500 0.7540
Li10 0.7797 0.7500 0.2540
Li11 0.8971 0.2500 0.4800
Li12 0.9558 0.7500 0.8710
H1 0.1073 0.0063 0.3209
H2 0.1073 0.4937 0.3209
H3 0.1159 0.2500 0.5552
H4 0.1543 0.5021 0.9653
H5 0.1543 0.9979 0.9653
H6 0.1695 0.7500 0.7330
H7 0.3305 0.2500 0.2330
H8 0.3457 0.0021 0.4653
H9 0.3457 0.4979 0.4653
H10 0.3841 0.7500 0.0552
H11 0.3927 0.5063 0.8209
H12 0.3927 0.9937 0.8209
H13 0.6073 0.0063 0.1791
H14 0.6073 0.4937 0.1791
H15 0.6159 0.2500 0.9448
H16 0.6543 0.5021 0.5347
H17 0.6543 0.9979 0.5347
H18 0.6695 0.7500 0.7670
H19 0.8305 0.2500 0.2670
H20 0.8457 0.0021 0.0347
H21 0.8457 0.4979 0.0347
H22 0.8841 0.7500 0.4448
H23 0.8927 0.5063 0.6791
H24 0.8927 0.9937 0.6791
Rh1 0.2263 0.2500 0.3947
Rh2 0.2737 0.7500 0.8947
Rh3 0.7263 0.2500 0.1053
Rh4 0.7737 0.7500 0.6053
# Total DFT energy (no corrections) in eV per atom: -5.69
# Spin magnetization in μB per cell: 0.00
# Calculated volume in Å³/atom: 8.365
# Symmetry: No. 62

=====

[9]
# LiHS, optimized geometry, DFT r2SCAN
data_LiHS
_chemical_formula_sum 'Li2 H2 S2'
_space_group_name_H-M_alt 'P 1'
_space_group_IT_number 1
_cell_length_a 6.0954
_cell_length_b 3.9202
_cell_length_c 3.9202
_cell_angle_alpha 91.16
_cell_angle_beta 90.00
_cell_angle_gamma 90.00
loop_
_space_group_symop_operation_xyz
'x,y,z'
loop_
_atom_site_label
_atom_site_fract_x
_atom_site_fract_y
_atom_site_fract_z
Li1 0.0000 0.0000 0.0000
Li2 0.5000 0.0000 0.0000
H1 0.2500 0.6269 0.4825
H2 0.7500 0.4825 0.6269
S1 0.2500 0.9693 0.4966
S2 0.7500 0.4966 0.9693
# Total DFT energy (no corrections) in eV per atom: -5.50
# Spin magnetization in μB per cell: 0.00
# Calculated volume in Å³/atom: 15.609
# Symmetry: No. 40

=====

[10]
# LiHS, optimized geometry, DFT r2SCAN
data_LiHS
_chemical_formula_sum 'Li4 H4 S4'
_space_group_name_H-M_alt 'P 1'
_space_group_IT_number 1
_cell_length_a 6.1011
_cell_length_b 3.9234
_cell_length_c 7.8328
_cell_angle_alpha 90.00
_cell_angle_beta 90.00
_cell_angle_gamma 90.00
loop_
_space_group_symop_operation_xyz
'x,y,z'
loop_
_atom_site_label
_atom_site_fract_x
_atom_site_fract_y
_atom_site_fract_z
Li1 0.2502 0.0032 0.0000
Li2 0.2502 0.9968 0.5000
Li3 0.7498 0.0032 0.0000
Li4 0.7498 0.9968 0.5000
H1 0.0000 0.3750 0.7505
H2 0.0000 0.6250 0.2505
H3 0.5000 0.4895 0.6856
H4 0.5000 0.5105 0.1856
S1 0.0000 0.0330 0.7511
S2 0.0000 0.9670 0.2511
S3 0.5000 0.4969 0.5143
S4 0.5000 0.5031 0.0143
# Total DFT energy (no corrections) in eV per atom: -5.50
# Spin magnetization in μB per cell: 0.00
# Calculated volume in Å³/atom: 15.625
# Symmetry: No. 26

=====

[11]
# LiHS, optimized geometry, DFT r2SCAN
data_LiHS
_chemical_formula_sum 'Li8 H8 S8'
_space_group_name_H-M_alt 'P 1'
_space_group_IT_number 1
_cell_length_a 7.8362
_cell_length_b 7.8362
_cell_length_c 6.1174
_cell_angle_alpha 90.00
_cell_angle_beta 90.00
_cell_angle_gamma 90.00
loop_
_space_group_symop_operation_xyz
'x,y,z'
loop_
_atom_site_label
_atom_site_fract_x
_atom_site_fract_y
_atom_site_fract_z
Li1 0.0000 0.0000 0.2500
Li2 0.0000 0.0000 0.7500
Li3 0.0000 0.5000 0.2500
Li4 0.0000 0.5000 0.7500
Li5 0.5000 0.0000 0.2500
Li6 0.5000 0.0000 0.7500
Li7 0.5000 0.5000 0.2500
Li8 0.5000 0.5000 0.7500
H1 0.1870 0.2512 0.0000
H2 0.2488 0.3130 0.5000
H3 0.2512 0.8130 0.5000
H4 0.3130 0.7512 0.0000
H5 0.6870 0.2488 0.0000
H6 0.7488 0.1870 0.5000
H7 0.7512 0.6870 0.5000
H8 0.8130 0.7488 0.0000
S1 0.0158 0.2499 0.0000
S2 0.2501 0.4842 0.5000
S3 0.2499 0.9842 0.5000
S4 0.4842 0.7499 0.0000
S5 0.5158 0.2501 0.0000
S6 0.7501 0.0158 0.5000
S7 0.7499 0.5158 0.5000
S8 0.9842 0.7501 0.0000
# Total DFT energy (no corrections) in eV per atom: -5.50
# Spin magnetization in μB per cell: 0.00
# Calculated volume in Å³/atom: 15.652
# Symmetry: No. 135

=====

[12]
# LuH3, optimized geometry, DFT r2SCAN
data_LuH3
_chemical_formula_sum 'Lu6 H18'
_space_group_name_H-M_alt 'P 1'
_space_group_IT_number 1
_cell_length_a 6.0948
_cell_length_b 6.0948
_cell_length_c 6.3777
_cell_angle_alpha 90.00
_cell_angle_beta 90.00
_cell_angle_gamma 120.00
loop_
_space_group_symop_operation_xyz
'x,y,z'
loop_
_atom_site_label
_atom_site_fract_x
_atom_site_fract_y
_atom_site_fract_z
Lu1 0.0000 0.3376 0.2500
Lu2 0.0000 0.6624 0.7500
Lu3 0.3376 0.0000 0.2500
Lu4 0.3376 0.3376 0.7500
Lu5 0.6624 0.0000 0.7500
Lu6 0.6624 0.6624 0.2500
H1 0.0000 0.0000 0.2500
H2 0.0000 0.0000 0.7500
H3 0.0337 0.3537 0.9105
H4 0.0337 0.6800 0.4105
H5 0.3200 0.3537 0.4105
H6 0.3200 0.9663 0.9105
H7 0.3333 0.6667 0.1885
H8 0.3333 0.6667 0.6885
H9 0.3537 0.0337 0.5895
H10 0.3537 0.3200 0.0895
H11 0.6463 0.6800 0.9105
H12 0.6463 0.9663 0.4105
H13 0.6667 0.3333 0.3115
H14 0.6667 0.3333 0.8115
H15 0.6800 0.0337 0.0895
H16 0.6800 0.6463 0.5895
H17 0.9663 0.3200 0.5895
H18 0.9663 0.6463 0.0895
# Total DFT energy (no corrections) in eV per atom: -12.82
# Spin magnetization in μB per cell: 0.00
# Calculated volume in Å³/atom: 8.549
# Symmetry: No. 165